No. 1
# Li4Mn3Cu3Te2O16 GGA+U optimized geometry
# energy of formation = -1708 meV/atom
# E = -329.40 eV per cell
data_Li4Mn3Cu3Te2O16
_chemical_formula_sum 'Li8 Mn6 Cu6 Te4 O32'
_cell_length_a 10.3690
_cell_length_b 5.9414
_cell_length_c 9.8996
_cell_angle_alpha 90.00
_cell_angle_beta 92.75
_cell_angle_gamma 90.00
_symmetry_space_group_name_H-M 'C 1 m 1'
_symmetry_Int_Tables_number 8
_symmetry_space_group_name_Hall 'C -2y'
loop_
_atom_site_label
_atom_site_type_symbol
_atom_site_fract_x
_atom_site_fract_y
_atom_site_fract_z
Li1 Li 0.0000 0.0000 0.0000
Li2 Li 0.0017 0.0000 0.5062
Li3 Li 0.1582 0.5000 0.9335
Li4 Li 0.3316 0.0000 0.4399
Mn1 Mn 0.0836 0.2540 0.2337
Mn2 Mn 0.1714 0.0000 0.7344
Cu1 Cu 0.3298 0.5000 0.2327
Cu2 Cu 0.4160 0.2467 0.7320
Te1 Te 0.1696 0.5000 0.5053
Te2 Te 0.3302 0.0000 0.0025
O1 O 0.0040 0.0000 0.3157
O2 O 0.0057 0.0000 0.8120
O3 O 0.0142 0.5000 0.3815
O4 O 0.0962 0.2558 0.6113
O5 O 0.1591 0.5000 0.1417
O6 O 0.1767 0.0000 0.1149
O7 O 0.2355 0.2732 0.3763
O8 O 0.2464 0.2210 0.8809
O9 O 0.3292 0.0000 0.6437
O10 O 0.3390 0.5000 0.6055
O11 O 0.4186 0.2456 0.1068
O12 O 0.4737 0.0000 0.8752

No. 2
# Li4Ti2Mn3Cu3O16 GGA+U optimized geometry
# energy of formation = -2050 meV/atom
# E = -183.78 eV per cell
data_Li4Ti2Mn3Cu3O16
_chemical_formula_sum 'Li4 Ti2 Mn3 Cu3 O16'
_cell_length_a 5.8246
_cell_length_b 5.8494
_cell_length_c 9.4950
_cell_angle_alpha 90.59
_cell_angle_beta 90.43
_cell_angle_gamma 119.46
_symmetry_space_group_name_H-M 'P 1'
_symmetry_Int_Tables_number 1
_symmetry_space_group_name_Hall 'P 1'
loop_
_atom_site_label
_atom_site_type_symbol
_atom_site_fract_x
_atom_site_fract_y
_atom_site_fract_z
Li1 Li 0.0000 0.0000 0.0000
Li2 Li 0.0001 0.0016 0.5038
Li3 Li 0.3334 0.6715 0.6026
Li4 Li 0.6729 0.3399 0.1001
Ti1 Ti 0.3335 0.6602 0.9965
Ti2 Ti 0.6595 0.3201 0.5060
Mn1 Mn 0.1676 0.8295 0.2820
Mn2 Mn 0.6602 0.8308 0.2820
Mn3 Mn 0.8273 0.6566 0.7808
Cu1 Cu 0.1741 0.3409 0.2817
Cu2 Cu 0.3388 0.1693 0.7829
Cu3 Cu 0.8285 0.1687 0.7823
O1 O 0.0448 0.5335 0.1576
O2 O 0.1546 0.8188 0.9021
O3 O 0.1689 0.3359 0.9118
O4 O 0.3274 0.1579 0.4025
O5 O 0.3399 0.6759 0.3875
O6 O 0.4811 0.9704 0.1670
O7 O 0.5066 0.5460 0.1521
O8 O 0.5172 0.0433 0.6467
O9 O 0.5285 0.4958 0.6545
O10 O 0.6637 0.8203 0.9001
O11 O 0.6714 0.3414 0.8883
O12 O 0.8115 0.1477 0.4066
O13 O 0.8366 0.6716 0.3927
O14 O 0.9627 0.4961 0.6531
O15 O 0.9938 0.9905 0.6918
O16 O 0.9939 0.9945 0.1899

No. 3
# Li4Ti3Mn3Cu2O16 GGA+U optimized geometry
# energy of formation = -2312 meV/atom
# E = -389.85 eV per cell
data_Li4Ti3Mn3Cu2O16
_chemical_formula_sum 'Li8 Ti6 Mn6 Cu4 O32'
_cell_length_a 10.2299
_cell_length_b 5.8267
_cell_length_c 9.7063
_cell_angle_alpha 90.00
_cell_angle_beta 90.02
_cell_angle_gamma 90.00
_symmetry_space_group_name_H-M 'C 1 m 1'
_symmetry_Int_Tables_number 8
_symmetry_space_group_name_Hall 'C -2y'
loop_
_atom_site_label
_atom_site_type_symbol
_atom_site_fract_x
_atom_site_fract_y
_atom_site_fract_z
Li1 Li 0.0000 0.0000 0.0000
Li2 Li 0.0132 0.0000 0.5022
Li3 Li 0.1884 0.5000 0.8946
Li4 Li 0.3427 0.0000 0.3978
Ti1 Ti 0.0860 0.2548 0.2172
Ti2 Ti 0.1914 0.0000 0.7171
Mn1 Mn 0.3347 0.5000 0.2205
Mn2 Mn 0.4378 0.2463 0.7187
Cu1 Cu 0.1811 0.5000 0.4952
Cu2 Cu 0.3443 0.0000 0.9941
O1 O 0.0092 0.5000 0.8269
O2 O 0.0168 0.5000 0.3243
O3 O 0.0204 0.0000 0.8163
O4 O 0.1003 0.2393 0.6077
O5 O 0.1597 0.0000 0.1129
O6 O 0.1758 0.5000 0.1095
O7 O 0.2459 0.2806 0.3403
O8 O 0.2825 0.2202 0.8387
O9 O 0.3557 0.0000 0.6109
O10 O 0.3630 0.5000 0.6177
O11 O 0.4224 0.2621 0.1088
O12 O 0.4987 0.5000 0.3188

No. 4
# Li4Mn3V3Cu2O16 GGA+U optimized geometry
# energy of formation = -2009 meV/atom
# E = -369.79 eV per cell
data_Li4Mn3V3Cu2O16
_chemical_formula_sum 'Li8 Mn6 V6 Cu4 O32'
_cell_length_a 10.2103
_cell_length_b 5.8101
_cell_length_c 9.7121
_cell_angle_alpha 90.00
_cell_angle_beta 94.04
_cell_angle_gamma 90.00
_symmetry_space_group_name_H-M 'C 1 m 1'
_symmetry_Int_Tables_number 8
_symmetry_space_group_name_Hall 'C -2y'
loop_
_atom_site_label
_atom_site_type_symbol
_atom_site_fract_x
_atom_site_fract_y
_atom_site_fract_z
Li1 Li 0.0000 0.0000 0.0000
Li2 Li 0.0068 0.0000 0.5015
Li3 Li 0.1435 0.5000 0.1038
Li4 Li 0.3104 0.0000 0.6060
Mn1 Mn 0.0695 0.2562 0.7822
Mn2 Mn 0.1562 0.0000 0.2818
V1 V 0.3201 0.5000 0.7849
V2 V 0.4008 0.2495 0.2828
Cu1 Cu 0.1498 0.5000 0.5082
Cu2 Cu 0.3184 0.0000 0.0042
O1 O 0.0724 0.2447 0.3902
O2 O 0.1502 0.0000 0.8913
O3 O 0.1562 0.5000 0.8899
O4 O 0.2173 0.2780 0.6640
O5 O 0.2375 0.2263 0.1709
O6 O 0.3214 0.0000 0.3906
O7 O 0.3426 0.5000 0.3889
O8 O 0.4116 0.2612 0.8882
O9 O 0.4582 0.0000 0.1629
O10 O 0.4833 0.5000 0.6831
O11 O 0.4855 0.5000 0.1824
O12 O 0.4922 0.0000 0.6757

No. 5
# Li2MnV4CuO12 GGA+U optimized geometry
# energy of formation = -2204 meV/atom
# E = -280.30 eV per cell
data_Li2MnV4CuO12
_chemical_formula_sum 'Li4 Mn2 V8 Cu2 O24'
_cell_length_a 10.3770
_cell_length_b 9.2087
_cell_length_c 5.8432
_cell_angle_alpha 90.00
_cell_angle_beta 110.97
_cell_angle_gamma 90.00
_symmetry_space_group_name_H-M 'C 1 2 1'
_symmetry_Int_Tables_number 5
_symmetry_space_group_name_Hall 'C 2y'
loop_
_atom_site_label
_atom_site_type_symbol
_atom_site_fract_x
_atom_site_fract_y
_atom_site_fract_z
Li1 Li 0.0000 0.0000 0.0000
Li2 Li 0.0000 0.4837 0.5000
Mn1 Mn 0.0000 0.3311 0.0000
V1 V 0.2023 0.8407 0.4777
V2 V 0.2050 0.6489 0.9777
Cu1 Cu 0.0000 0.1446 0.5000
O1 O 0.1133 0.1513 0.9076
O2 O 0.1183 0.3447 0.4011
O3 O 0.1321 0.4789 0.9121
O4 O 0.1336 0.0109 0.4203
O5 O 0.1398 0.7479 0.6874
O6 O 0.1440 0.7489 0.1899

No. 6
# Li4Nb2V3Cu3O16 GGA+U optimized geometry
# energy of formation = -2237 meV/atom
# E = -193.10 eV per cell
data_Li4Nb2V3Cu3O16
_chemical_formula_sum 'Li4 Nb2 V3 Cu3 O16'
_cell_length_a 5.8785
_cell_length_b 6.0637
_cell_length_c 9.8411
_cell_angle_alpha 88.53
_cell_angle_beta 89.97
_cell_angle_gamma 61.03
_symmetry_space_group_name_H-M 'P 1'
_symmetry_Int_Tables_number 1
_symmetry_space_group_name_Hall 'P 1'
loop_
_atom_site_label
_atom_site_type_symbol
_atom_site_fract_x
_atom_site_fract_y
_atom_site_fract_z
Li1 Li 0.0000 0.0000 0.0000
Li2 Li 0.0113 0.9774 0.5127
Li3 Li 0.3633 0.2721 0.5923
Li4 Li 0.6745 0.6516 0.0881
Nb1 Nb 0.3351 0.3302 0.9976
Nb2 Nb 0.6665 0.6662 0.4957
V1 V 0.1673 0.1743 0.2771
V2 V 0.6581 0.1742 0.2773
V3 V 0.8324 0.3350 0.7571
Cu1 Cu 0.1721 0.6551 0.2731
Cu2 Cu 0.3492 0.8157 0.7915
Cu3 Cu 0.8346 0.8159 0.7914
O1 O 0.0015 0.9968 0.7079
O2 O 0.0388 0.4565 0.1604
O3 O 0.1519 0.1893 0.9066
O4 O 0.1676 0.6661 0.9200
O5 O 0.3393 0.8174 0.4032
O6 O 0.3715 0.2570 0.3946
O7 O 0.4845 0.0312 0.1585
O8 O 0.5046 0.4570 0.1605
O9 O 0.5466 0.9051 0.6457
O10 O 0.5610 0.4427 0.6438
O11 O 0.6594 0.1884 0.9067
O12 O 0.6928 0.6143 0.8765
O13 O 0.8427 0.8177 0.4032
O14 O 0.8443 0.3116 0.3982
O15 O 0.9907 0.0182 0.1893
O16 O 0.9954 0.4438 0.6437

Copy entry 2 word for word.
# Li4Ti2Mn3Cu3O16 GGA+U optimized geometry
# energy of formation = -2050 meV/atom
# E = -183.78 eV per cell
data_Li4Ti2Mn3Cu3O16
_chemical_formula_sum 'Li4 Ti2 Mn3 Cu3 O16'
_cell_length_a 5.8246
_cell_length_b 5.8494
_cell_length_c 9.4950
_cell_angle_alpha 90.59
_cell_angle_beta 90.43
_cell_angle_gamma 119.46
_symmetry_space_group_name_H-M 'P 1'
_symmetry_Int_Tables_number 1
_symmetry_space_group_name_Hall 'P 1'
loop_
_atom_site_label
_atom_site_type_symbol
_atom_site_fract_x
_atom_site_fract_y
_atom_site_fract_z
Li1 Li 0.0000 0.0000 0.0000
Li2 Li 0.0001 0.0016 0.5038
Li3 Li 0.3334 0.6715 0.6026
Li4 Li 0.6729 0.3399 0.1001
Ti1 Ti 0.3335 0.6602 0.9965
Ti2 Ti 0.6595 0.3201 0.5060
Mn1 Mn 0.1676 0.8295 0.2820
Mn2 Mn 0.6602 0.8308 0.2820
Mn3 Mn 0.8273 0.6566 0.7808
Cu1 Cu 0.1741 0.3409 0.2817
Cu2 Cu 0.3388 0.1693 0.7829
Cu3 Cu 0.8285 0.1687 0.7823
O1 O 0.0448 0.5335 0.1576
O2 O 0.1546 0.8188 0.9021
O3 O 0.1689 0.3359 0.9118
O4 O 0.3274 0.1579 0.4025
O5 O 0.3399 0.6759 0.3875
O6 O 0.4811 0.9704 0.1670
O7 O 0.5066 0.5460 0.1521
O8 O 0.5172 0.0433 0.6467
O9 O 0.5285 0.4958 0.6545
O10 O 0.6637 0.8203 0.9001
O11 O 0.6714 0.3414 0.8883
O12 O 0.8115 0.1477 0.4066
O13 O 0.8366 0.6716 0.3927
O14 O 0.9627 0.4961 0.6531
O15 O 0.9938 0.9905 0.6918
O16 O 0.9939 0.9945 0.1899